Arrangement a

A relaxed LiMnSiO4 crystal. Source: the Materials Project, functional PBE+U.

Structure (POSCAR):
```
LiMnSiO4
1.0
5.7117 0.0000 0.0000
1.4467 6.0250 0.0000
1.4223 1.6338 9.0210
Li Mn Si O
4 4 4 16
direct
0.1811 0.3625 0.4145
0.3061 0.5582 0.7276
0.6939 0.4418 0.2724
0.8189 0.6375 0.5855
0.1944 0.0659 0.7201
0.2810 0.1607 0.0886
0.7190 0.8393 0.9114
0.8056 0.9341 0.2799
0.1793 0.7100 0.0375
0.3148 0.8396 0.4081
0.6852 0.1604 0.5919
0.8207 0.2900 0.9625
0.1102 0.2224 0.8906
0.1111 0.7044 0.3851
0.1435 0.7749 0.8595
0.2752 0.8654 0.5833
0.2874 0.0932 0.3030
0.2906 0.4521 0.1022
0.3665 0.8517 0.0725
0.3971 0.2929 0.6228
0.6029 0.7071 0.3772
0.6335 0.1483 0.9275
0.7094 0.5479 0.8978
0.7126 0.9068 0.6970
0.7248 0.1346 0.4167
0.8565 0.2251 0.1405
0.8889 0.2956 0.6149
0.8898 0.7776 0.1094
```


Arrangement b

A relaxed LiMnSiO4 crystal. Source: the Materials Project, functional PBE+U.

Structure (POSCAR):
```
LiMnSiO4
1.0
9.0423 0.0000 0.0000
0.0000 6.4077 0.0000
0.0000 0.0000 4.9173
Li Mn Si O
4 4 4 16
direct
0.1630 0.2500 0.0378
0.3370 0.7500 0.5378
0.6630 0.2500 0.4622
0.8370 0.7500 0.9622
0.0000 0.0000 0.5000
0.0000 0.5000 0.5000
0.5000 0.0000 0.0000
0.5000 0.5000 0.0000
0.1793 0.7500 0.0353
0.3207 0.2500 0.5353
0.6793 0.7500 0.4647
0.8207 0.2500 0.9647
0.1189 0.5380 0.1854
0.1189 0.9620 0.1854
0.1317 0.7500 0.7138
0.1362 0.2500 0.5989
0.3638 0.7500 0.0989
0.3683 0.2500 0.2138
0.3811 0.0380 0.6854
0.3811 0.4620 0.6854
0.6189 0.5380 0.3146
0.6189 0.9620 0.3146
0.6317 0.7500 0.7862
0.6362 0.2500 0.9011
0.8638 0.7500 0.4011
0.8683 0.2500 0.2862
0.8811 0.0380 0.8146
0.8811 0.4620 0.8146
```


Arrangement c

A relaxed LiMnSiO4 crystal. Source: the Materials Project, functional PBE+U.

Structure (POSCAR):
```
LiMnSiO4
1.0
5.7279 0.0000 0.0000
0.0000 10.2839 0.0000
-0.1080 0.0000 10.3294
Li Mn Si O
8 8 8 32
direct
0.1205 0.1599 0.3521
0.1205 0.3401 0.8521
0.3638 0.6278 0.1041
0.3638 0.8722 0.6041
0.6362 0.1278 0.3959
0.6362 0.3722 0.8959
0.8795 0.6599 0.1479
0.8795 0.8401 0.6479
0.1547 0.6267 0.5195
0.1547 0.8733 0.0195
0.3621 0.0906 0.7769
0.3621 0.4094 0.2769
0.6379 0.5906 0.7231
0.6379 0.9094 0.2231
0.8453 0.1267 0.9805
0.8453 0.3733 0.4805
0.1240 0.6074 0.8298
0.1240 0.8926 0.3298
0.3745 0.1475 0.0845
0.3745 0.3525 0.5845
0.6255 0.6475 0.4155
0.6255 0.8525 0.9155
0.8760 0.1074 0.6702
0.8760 0.3926 0.1702
0.1074 0.0106 0.6696
0.1074 0.4894 0.1696
0.1157 0.6962 0.6944
0.1157 0.8038 0.1944
0.1177 0.6992 0.9618
0.1177 0.8008 0.4618
0.1469 0.0502 0.0804
0.1469 0.4498 0.5804
0.3266 0.2468 0.2007
0.3266 0.2532 0.7007
0.3634 0.5190 0.8361
0.3634 0.9810 0.3361
0.3803 0.5660 0.3822
0.3803 0.9340 0.8822
0.4179 0.2078 0.9397
0.4179 0.2922 0.4397
0.5821 0.7078 0.5603
0.5821 0.7922 0.0603
0.6197 0.0660 0.1178
0.6197 0.4340 0.6178
0.6366 0.0190 0.6639
0.6366 0.4810 0.1639
0.6734 0.7468 0.2993
0.6734 0.7532 0.7993
0.8531 0.5502 0.4196
0.8531 0.9498 0.9196
0.8823 0.1992 0.5382
0.8823 0.3008 0.0382
0.8843 0.1962 0.8056
0.8843 0.3038 0.3056
0.8926 0.5106 0.8304
0.8926 0.9894 0.3304
```


Preferred: arrangement b; penalty for the next structure: 43 meV per atom.


Arrangement a

A relaxed Li2MnP4O12 crystal. Source: the Materials Project, functional PBE+U.

Structure (POSCAR):
```
Li2MnP4O12
1.0
7.6131 0.0000 0.0000
0.0000 9.5424 0.0000
-4.8164 0.0000 7.3068
Li Mn P O
4 2 8 24
direct
0.2175 0.1529 0.3349
0.2175 0.3471 0.8349
0.7825 0.6529 0.1651
0.7825 0.8471 0.6651
0.0000 0.0000 0.5000
0.0000 0.5000 0.0000
0.2141 0.7117 0.3833
0.2141 0.7883 0.8833
0.4536 0.6020 0.7714
0.4536 0.8980 0.2714
0.5464 0.1020 0.7286
0.5464 0.3980 0.2286
0.7859 0.2117 0.1167
0.7859 0.2883 0.6167
0.0710 0.5999 0.2512
0.0710 0.9001 0.7512
0.1033 0.6749 0.9159
0.1033 0.8251 0.4159
0.3110 0.1161 0.6000
0.3110 0.3839 0.1000
0.3471 0.0309 0.2638
0.3471 0.4691 0.7638
0.3549 0.7357 0.8112
0.3549 0.7643 0.3112
0.4000 0.6410 0.5704
0.4000 0.8590 0.0704
0.6000 0.1410 0.9296
0.6000 0.3590 0.4296
0.6451 0.2357 0.6888
0.6451 0.2643 0.1888
0.6529 0.5309 0.2362
0.6529 0.9691 0.7362
0.6890 0.6161 0.9000
0.6890 0.8839 0.4000
0.8967 0.1749 0.5841
0.8967 0.3251 0.0841
0.9290 0.0999 0.2488
0.9290 0.4001 0.7488
```


Arrangement b

A relaxed Li2MnP4O12 crystal. Source: the Materials Project, functional PBE+U.

Structure (POSCAR):
```
Li2MnP4O12
1.0
9.5732 0.0000 0.0000
0.0000 9.3910 0.0000
0.0000 0.0000 10.3449
Li Mn P O
8 4 16 48
direct
0.0060 0.0993 0.1818
0.0060 0.4007 0.1818
0.4940 0.5993 0.6818
0.4940 0.9007 0.6818
0.5060 0.0993 0.3182
0.5060 0.4007 0.3182
0.9940 0.5993 0.8182
0.9940 0.9007 0.8182
0.0112 0.2500 0.8008
0.4888 0.7500 0.3008
0.5112 0.2500 0.6992
0.9888 0.7500 0.1992
0.1981 0.7500 0.6055
0.2099 0.5365 0.3894
0.2099 0.9635 0.3894
0.2283 0.2500 0.5183
0.2717 0.7500 0.0183
0.2901 0.0365 0.8894
0.2901 0.4635 0.8894
0.3019 0.2500 0.1055
0.6981 0.7500 0.8945
0.7099 0.5365 0.1106
0.7099 0.9635 0.1106
0.7283 0.2500 0.9817
0.7717 0.7500 0.4817
0.7901 0.0365 0.6106
0.7901 0.4635 0.6106
0.8019 0.2500 0.3945
0.1007 0.7500 0.7189
0.1153 0.5695 0.2769
0.1148 0.7500 0.0264
0.1153 0.9305 0.2769
0.1347 0.0593 0.8754
0.1347 0.4407 0.8754
0.1430 0.2500 0.6382
0.1471 0.2500 0.1270
0.1526 0.6161 0.5168
0.1526 0.8839 0.5168
0.1756 0.1243 0.4244
0.1756 0.3757 0.4244
0.3244 0.6243 0.9244
0.3244 0.8757 0.9244
0.3474 0.1161 0.0168
0.3474 0.3839 0.0168
0.3529 0.7500 0.6270
0.3570 0.7500 0.1382
0.3653 0.5593 0.3754
0.3653 0.9407 0.3754
0.3847 0.0695 0.7769
0.3852 0.2500 0.5264
0.3847 0.4305 0.7769
0.3993 0.2500 0.2189
0.6007 0.7500 0.7811
0.6153 0.5695 0.2231
0.6148 0.7500 0.4736
0.6153 0.9305 0.2231
0.6347 0.0593 0.6246
0.6347 0.4407 0.6246
0.6430 0.2500 0.8618
0.6471 0.2500 0.3730
0.6526 0.6161 0.9832
0.6526 0.8839 0.9832
0.6756 0.1243 0.0756
0.6756 0.3757 0.0756
0.8244 0.6243 0.5756
0.8244 0.8757 0.5756
0.8474 0.1161 0.4832
0.8474 0.3839 0.4832
0.8529 0.7500 0.8730
0.8570 0.7500 0.3618
0.8653 0.5593 0.1246
0.8653 0.9407 0.1246
0.8847 0.0695 0.7231
0.8852 0.2500 0.9736
0.8847 0.4305 0.7231
0.8993 0.2500 0.2811
```


Preferred: arrangement b; penalty for the next structure: 36 meV per atom.


Arrangement a

A relaxed Li4V3O8 crystal. Source: the Materials Project, functional PBE+U.

Structure (POSCAR):
```
Li4V3O8
1.0
0.0000 3.0432 -4.9811
3.4995 4.0763 2.4903
6.8051 -4.0768 -2.4906
O Li V
16 8 6
direct
0.7530 0.7361 0.4753
0.0163 0.9668 0.2445
0.5000 0.9914 0.2457
0.2308 0.7198 0.4916
0.9836 0.0332 0.7555
0.2692 0.7802 0.0085
0.2470 0.2639 0.5247
0.2530 0.2361 0.9753
0.7308 0.2198 0.9916
0.5000 0.0086 0.7543
0.7692 0.2802 0.5084
0.4836 0.5332 0.2555
0.0000 0.5086 0.2543
0.0000 0.4914 0.7457
0.7470 0.7639 0.0247
0.5163 0.4668 0.7445
0.5000 0.5000 0.5000
0.7500 0.7500 0.7500
0.2500 0.7500 0.7500
0.7500 0.2500 0.2500
0.5000 0.0000 0.5000
0.2500 0.2500 0.2500
0.0000 0.0000 0.0000
0.0000 0.5000 0.0000
0.2499 0.7499 0.2500
0.7501 0.7500 0.2500
0.5000 0.0001 0.9998
0.7499 0.2499 0.7500
0.2501 0.2499 0.7500
0.0000 0.5001 0.4998
```


Arrangement b

A relaxed Li4V3O8 crystal. Source: the Materials Project, functional PBE+U.

Structure (POSCAR):
```
Li4V3O8
1.0
5.8551 0.0000 0.0000
-0.0673 6.1503 0.0000
-0.0130 -0.5942 8.4742
Li V O
8 6 16
direct
0.0000 0.0000 0.0000
0.0000 0.0000 0.5000
0.0059 0.2837 0.3566
0.4942 0.2163 0.1421
0.5000 0.5000 0.0000
0.5000 0.5000 0.5000
0.5058 0.7837 0.8579
0.9941 0.7163 0.6434
0.0000 0.5000 0.0000
0.2466 0.7487 0.2543
0.2541 0.2483 0.7553
0.5000 0.0000 0.5000
0.7459 0.7517 0.2447
0.7534 0.2513 0.7457
0.0060 0.4723 0.7650
0.0117 0.0383 0.7433
0.2367 0.7222 0.0242
0.2394 0.2746 0.9865
0.2526 0.7646 0.4748
0.2728 0.2148 0.5115
0.4907 0.4623 0.7547
0.4971 0.9708 0.2631
0.5029 0.0292 0.7369
0.5093 0.5377 0.2453
0.7272 0.7852 0.4885
0.7474 0.2354 0.5252
0.7606 0.7254 0.0135
0.7633 0.2778 0.9758
0.9883 0.9617 0.2567
0.9940 0.5277 0.2350
```


Preferred: arrangement b; penalty for the next structure: 23 meV per atom.